P.
Entry from Materials Project: crystalline Bi4O5F2 at its relaxed geometry (GGA-PBE).

Values from the calculation:
Mass density, g/cm3: 7.123
V, A^3/atom: 20.2
Magnetization, μB per formula unit: 0.000

```
Bi4O5F2
1.0
-4.512 -2.622 1.468
1.362 -4.365 -3.610
7.187 -6.722 10.085
Bi O F
8 10 4
Direct
0.285 0.209 0.454
0.886 0.233 0.214
0.114 0.767 0.786
0.215 0.209 0.954
0.785 0.791 0.046
0.614 0.233 0.714
0.715 0.791 0.546
0.386 0.767 0.286
0.304 0.119 0.792
0.000 0.000 0.500
0.804 0.881 0.708
0.010 0.079 0.085
0.696 0.881 0.208
0.500 0.000 0.000
0.990 0.921 0.915
0.196 0.119 0.292
0.510 0.921 0.415
0.490 0.079 0.585
0.855 0.481 0.859
0.645 0.481 0.359
0.145 0.519 0.141
0.355 0.519 0.641
```

***

Q.
Entry from Materials Project: crystalline Bi4O5F2 at its relaxed geometry (GGA-PBE).

Values from the calculation:
Mass density, g/cm3: 7.489
V, A^3/atom: 19.2
Magnetization, μB per formula unit: 0.000

```
Bi4O5F2
1.0
5.621 0.000 0.000
0.000 10.668 0.000
0.000 1.846 14.109
O F Bi
20 8 16
Direct
0.343 0.737 0.035
0.999 0.346 0.780
0.503 0.923 0.580
0.975 0.423 0.096
0.345 0.529 0.683
0.845 0.471 0.317
0.498 0.319 0.810
0.998 0.681 0.190
0.499 0.654 0.220
0.984 0.249 0.262
0.478 0.431 0.086
0.478 0.261 0.265
0.978 0.569 0.914
0.993 0.924 0.583
0.003 0.077 0.420
0.475 0.577 0.904
0.843 0.263 0.965
0.484 0.751 0.738
0.493 0.076 0.417
0.978 0.739 0.735
0.743 0.163 0.653
0.849 0.666 0.556
0.325 0.178 0.080
0.349 0.334 0.444
0.825 0.822 0.920
0.760 0.923 0.274
0.260 0.077 0.726
0.243 0.837 0.347
0.699 0.258 0.117
0.682 0.611 0.036
0.785 0.190 0.833
0.250 0.083 0.551
0.285 0.810 0.167
0.216 0.721 0.616
0.287 0.330 0.686
0.685 0.566 0.774
0.750 0.917 0.449
0.787 0.670 0.314
0.185 0.434 0.226
0.236 0.086 0.292
0.199 0.742 0.883
0.716 0.279 0.384
0.182 0.389 0.964
0.736 0.914 0.708
```

***

R.
Entry from Materials Project: crystalline Bi4O5F2 at its relaxed geometry (GGA-PBE).

Values from the calculation:
Mass density, g/cm3: 8.891
V, A^3/atom: 16.2
Magnetization, μB per formula unit: 0.000

```
Bi4O5F2
1.0
-4.786 -6.962 0.961
6.940 -5.159 -2.810
2.924 -0.809 8.704
O Bi F
20 16 8
Direct
0.250 0.075 0.821
0.436 0.836 0.025
0.061 0.507 0.834
0.064 0.836 0.025
0.439 0.507 0.834
0.936 0.336 0.475
0.564 0.336 0.475
0.939 0.493 0.166
0.064 0.664 0.525
0.936 0.164 0.975
0.561 0.493 0.166
0.061 0.993 0.334
0.436 0.664 0.525
0.750 0.575 0.679
0.439 0.993 0.334
0.750 0.925 0.179
0.939 0.007 0.666
0.250 0.425 0.321
0.561 0.007 0.666
0.564 0.164 0.975
0.250 0.935 0.483
0.250 0.999 0.045
0.750 0.435 0.017
0.750 0.065 0.517
0.033 0.210 0.760
0.533 0.710 0.740
0.467 0.290 0.260
0.533 0.790 0.240
0.467 0.210 0.760
0.250 0.565 0.983
0.750 0.001 0.955
0.250 0.501 0.545
0.967 0.710 0.740
0.033 0.290 0.260
0.750 0.499 0.455
0.967 0.790 0.240
0.750 0.247 0.719
0.750 0.679 0.970
0.750 0.253 0.219
0.250 0.753 0.281
0.750 0.821 0.470
0.250 0.321 0.030
0.250 0.179 0.530
0.250 0.747 0.781
```

***

Q: Which of them is the most stable? A: Q.